(1)
Computed, not measured: crystalline Rh3Pb at its relaxed geometry at the r²SCAN level of DFT.

```
data_Rh3Pb
_cell_length_a 4.075
_cell_length_b 4.075
_cell_length_c 7.666
_cell_angle_alpha 90.00
_cell_angle_beta 90.00
_cell_angle_gamma 90.00
_space_group_name_H-M_alt 'I 4/m m m'
_space_group_IT_number 139
_space_group_name_Hall '-I 4 2'
loop_
_atom_site_label
_atom_site_type_symbol
_atom_site_fract_x
_atom_site_fract_y
_atom_site_fract_z
Rh1 Rh 0.000 0.000 0.000
Rh2 Rh 0.000 0.500 0.250
Pb1 Pb 0.000 0.000 0.500
```

Calculated values
Uncorrected energy = -32.14 eV/atom
Size of the total moment = 0.263 μB per atom
Calculated formation energy = 38 meV per atom


(2)
Computed, not measured: crystalline Rh3Pb2S2 at its relaxed geometry at the r²SCAN level of DFT.

```
data_Rh3Pb2S2
_cell_length_a 5.7614
_cell_length_b 5.7614
_cell_length_c 13.9421
_cell_angle_alpha 90.00
_cell_angle_beta 90.00
_cell_angle_gamma 120.00
_space_group_name_H-M_alt 'R -3 m'
_space_group_IT_number 166
_space_group_name_Hall '-R 3 2"'
loop_
_atom_site_label
_atom_site_type_symbol
_atom_site_fract_x
_atom_site_fract_y
_atom_site_fract_z
Rh1 Rh 0.0000 0.5000 0.0000
Pb1 Pb 0.0000 0.0000 0.0000
Pb2 Pb 0.0000 0.0000 0.5000
S1 S 0.0000 0.0000 0.2177
```

Calculated values
Uncorrected energy = -29.17 eV/atom
Size of the total moment = 0.000 μB per atom
Calculated formation energy = -454 meV per atom


(3)
Computed, not measured: crystalline Sr3Rh4Pb13 at its relaxed geometry at the r²SCAN level of DFT.

```
data_Sr3Rh4Pb13
_cell_length_a 10.204
_cell_length_b 10.204
_cell_length_c 10.204
_cell_angle_alpha 90.00
_cell_angle_beta 90.00
_cell_angle_gamma 90.00
_space_group_name_H-M_alt 'P m -3 n'
_space_group_IT_number 223
_space_group_name_Hall '-P 4n 2 3'
loop_
_atom_site_label
_atom_site_type_symbol
_atom_site_fract_x
_atom_site_fract_y
_atom_site_fract_z
Sr1 Sr 0.000 0.250 0.500
Rh1 Rh 0.250 0.250 0.250
Pb1 Pb 0.000 0.000 0.000
Pb2 Pb 0.000 0.302 0.156
```

Calculated values
Uncorrected energy = -44.05 eV/atom
Size of the total moment = 0.000 μB per atom
Calculated formation energy = -363 meV per atom